Li2MnV3O8: optimized geometry, PBE+U.

The calculation puts the formation energy at -2.3967 eV per atom. Its energy above the most stable polymorph in this dataset is 40.7 meV/atom. The total moment comes out at 8.00 μB per formula unit.

The structure in POSCAR format:
```
Li2MnV3O8
1.0
5.941 0.000 0.000
2.935 5.168 0.000
2.899 1.689 9.791
Li Mn V O
4 2 6 16
Direct
0.000 0.000 0.000
0.110 0.131 0.628
0.491 0.511 0.500
0.620 0.620 0.129
0.056 0.065 0.314
0.555 0.565 0.815
0.054 0.566 0.315
0.055 0.567 0.814
0.312 0.307 0.064
0.554 0.066 0.814
0.555 0.066 0.314
0.799 0.822 0.564
0.148 0.720 0.428
0.190 0.182 0.421
0.208 0.658 0.929
0.213 0.199 0.927
0.410 0.961 0.201
0.422 0.407 0.202
0.438 0.431 0.707
0.454 0.918 0.701
0.657 0.212 0.928
0.671 0.700 0.921
0.688 0.724 0.427
0.704 0.165 0.429
0.896 0.933 0.702
0.900 0.475 0.699
0.920 0.949 0.207
0.964 0.411 0.199
```

Li3Mn2V5O12: optimized geometry, PBE+U.

The calculation puts the formation energy at -2.3357 eV per atom. The total moment comes out at 18.00 μB per formula unit.

The structure in POSCAR format:
```
Li3Mn2V5O12
1.0
2.670 -4.498 0.000
2.670 4.498 0.000
-1.545 0.000 9.715
Li Mn V O
3 2 5 12
Direct
0.000 0.000 0.000
0.396 0.072 0.247
0.928 0.604 0.753
0.332 0.668 0.000
0.837 0.163 0.500
0.079 0.423 0.247
0.161 0.839 0.500
0.501 0.499 0.500
0.577 0.921 0.753
0.659 0.341 0.000
0.038 0.682 0.110
0.159 0.161 0.380
0.236 0.582 0.623
0.318 0.962 0.890
0.345 0.378 0.107
0.418 0.764 0.377
0.520 0.181 0.615
0.622 0.655 0.893
0.701 0.112 0.126
0.819 0.480 0.385
0.839 0.841 0.620
0.888 0.299 0.874
```

Li2MnV3O8: optimized geometry, PBE+U.

The calculation puts the formation energy at -2.4139 eV per atom. Its energy above the most stable polymorph in this dataset is 23.5 meV/atom. The total moment comes out at 8.00 μB per formula unit.

The structure in POSCAR format:
```
Li2MnV3O8
1.0
8.191 0.000 0.000
0.000 8.524 0.000
0.000 0.000 8.706
Li Mn V O
8 4 12 32
Direct
0.005 0.002 0.000
0.246 0.247 0.248
0.254 0.753 0.748
0.495 0.998 0.500
0.505 0.498 0.000
0.746 0.253 0.752
0.754 0.747 0.252
0.995 0.502 0.500
0.127 0.875 0.377
0.373 0.125 0.877
0.627 0.625 0.623
0.873 0.375 0.123
0.123 0.127 0.623
0.124 0.376 0.869
0.127 0.623 0.120
0.373 0.377 0.620
0.376 0.624 0.369
0.377 0.873 0.123
0.623 0.373 0.377
0.624 0.124 0.131
0.627 0.877 0.880
0.873 0.123 0.380
0.876 0.876 0.631
0.877 0.627 0.877
0.108 0.892 0.622
0.111 0.613 0.879
0.112 0.387 0.104
0.115 0.117 0.396
0.127 0.362 0.639
0.135 0.142 0.860
0.145 0.631 0.363
0.148 0.862 0.131
0.352 0.138 0.631
0.355 0.369 0.863
0.365 0.858 0.360
0.373 0.638 0.139
0.385 0.883 0.896
0.388 0.613 0.604
0.389 0.387 0.379
0.392 0.108 0.122
0.608 0.608 0.378
0.611 0.887 0.121
0.612 0.113 0.896
0.615 0.383 0.604
0.627 0.138 0.361
0.635 0.358 0.140
0.645 0.869 0.637
0.648 0.638 0.869
0.852 0.362 0.369
0.855 0.131 0.137
0.865 0.642 0.640
0.873 0.862 0.861
0.885 0.617 0.104
0.888 0.887 0.396
0.889 0.113 0.621
0.892 0.392 0.878
```

LiMnVO4: optimized geometry, PBE+U.

The calculation puts the formation energy at -2.3719 eV per atom. Its energy above the most stable polymorph in this dataset is 0.0 meV/atom.

The structure in POSCAR format:
```
LiMnVO4
1.0
2.929 -4.420 0.000
2.929 4.420 0.000
0.000 0.000 6.429
Li Mn V O
2 2 2 8
Direct
0.162 0.838 0.750
0.838 0.162 0.250
0.500 0.500 0.000
0.500 0.500 0.500
0.145 0.855 0.250
0.855 0.145 0.750
0.219 0.259 0.750
0.256 0.744 0.030
0.256 0.744 0.470
0.259 0.219 0.250
0.741 0.781 0.750
0.744 0.256 0.530
0.744 0.256 0.970
0.781 0.741 0.250
```

Li2MnV3O8: optimized geometry, PBE+U.

The calculation puts the formation energy at -2.3965 eV per atom. Its energy above the most stable polymorph in this dataset is 40.9 meV/atom. The total moment comes out at 8.00 μB per formula unit.

The structure in POSCAR format:
```
Li2MnV3O8
1.0
5.939 0.000 0.000
2.969 5.158 0.000
2.965 1.698 9.784
Li Mn V O
4 2 6 16
Direct
0.000 0.000 0.000
0.131 0.128 0.630
0.496 0.508 0.501
0.633 0.620 0.129
0.066 0.563 0.816
0.566 0.065 0.314
0.066 0.065 0.314
0.066 0.564 0.315
0.316 0.308 0.066
0.566 0.064 0.816
0.566 0.564 0.815
0.812 0.821 0.565
0.158 0.725 0.430
0.207 0.184 0.423
0.208 0.208 0.930
0.208 0.659 0.929
0.423 0.429 0.708
0.429 0.958 0.204
0.430 0.410 0.198
0.471 0.931 0.701
0.663 0.196 0.928
0.700 0.722 0.433
0.702 0.169 0.426
0.709 0.699 0.922
0.924 0.944 0.208
0.925 0.468 0.702
0.926 0.916 0.700
0.968 0.406 0.202
```

Li2MnVO4: optimized geometry, PBE+U.

The calculation puts the formation energy at -2.3087 eV per atom. Its energy above the most stable polymorph in this dataset is 3.7 meV/atom. The total moment comes out at 6.00 μB per formula unit.

The structure in POSCAR format:
```
Li2MnVO4
1.0
5.141 0.000 0.000
0.180 6.107 0.000
2.404 1.066 7.322
Li Mn V O
6 3 3 12
Direct
0.001 0.085 0.168
0.003 0.764 0.491
0.007 0.596 0.161
0.993 0.404 0.839
0.997 0.236 0.509
0.999 0.915 0.832
0.494 0.334 0.167
0.500 0.500 0.500
0.506 0.666 0.833
0.495 0.163 0.832
0.500 0.000 0.500
0.505 0.837 0.168
0.255 0.200 0.671
0.260 0.032 0.335
0.262 0.366 0.006
0.282 0.875 0.988
0.284 0.551 0.324
0.291 0.714 0.655
0.709 0.286 0.345
0.716 0.449 0.676
0.718 0.125 0.012
0.738 0.634 0.994
0.740 0.968 0.665
0.745 0.800 0.329
```

Li3MnV4O8: optimized geometry, PBE+U.

The calculation puts the formation energy at -2.3181 eV per atom. The total moment comes out at 14.00 μB per formula unit.

The structure in POSCAR format:
```
Li3MnV4O8
1.0
5.216 -3.027 0.000
5.216 3.027 0.000
-3.555 0.000 4.969
Li Mn V O
3 1 4 8
Direct
0.000 0.000 0.000
0.000 0.500 0.500
0.500 0.000 0.500
0.500 0.500 0.500
0.000 0.000 0.500
0.000 0.500 0.000
0.500 0.000 0.000
0.500 0.500 0.000
0.244 0.738 0.231
0.249 0.249 0.221
0.258 0.258 0.762
0.262 0.756 0.769
0.738 0.244 0.231
0.742 0.742 0.238
0.751 0.751 0.779
0.756 0.262 0.769
```

Li2MnV3O8: optimized geometry, PBE+U.

The calculation puts the formation energy at -2.4108 eV per atom. Its energy above the most stable polymorph in this dataset is 26.6 meV/atom. The total moment comes out at 8.00 μB per formula unit.

The structure in POSCAR format:
```
Li2MnV3O8
1.0
8.207 0.000 0.000
0.012 8.532 0.000
0.020 0.001 8.669
Li Mn V O
8 4 12 32
Direct
0.000 0.000 0.000
0.006 0.499 0.499
0.249 0.748 0.750
0.257 0.250 0.248
0.499 0.497 0.999
0.506 0.998 0.501
0.749 0.749 0.249
0.756 0.247 0.750
0.130 0.370 0.878
0.376 0.624 0.374
0.629 0.124 0.122
0.877 0.873 0.623
0.125 0.873 0.366
0.129 0.121 0.620
0.130 0.626 0.116
0.378 0.874 0.121
0.379 0.372 0.624
0.380 0.122 0.869
0.623 0.624 0.631
0.627 0.870 0.878
0.629 0.376 0.379
0.871 0.621 0.881
0.878 0.125 0.375
0.878 0.375 0.129
0.110 0.387 0.121
0.111 0.110 0.378
0.113 0.885 0.603
0.123 0.619 0.902
0.133 0.858 0.136
0.138 0.637 0.351
0.147 0.361 0.635
0.149 0.126 0.863
0.356 0.867 0.363
0.366 0.639 0.130
0.367 0.356 0.859
0.373 0.139 0.638
0.386 0.384 0.396
0.392 0.111 0.104
0.393 0.608 0.623
0.393 0.887 0.878
0.610 0.108 0.876
0.611 0.387 0.621
0.614 0.612 0.396
0.619 0.883 0.105
0.623 0.639 0.860
0.639 0.856 0.640
0.647 0.366 0.136
0.650 0.138 0.370
0.855 0.861 0.871
0.857 0.629 0.642
0.866 0.140 0.140
0.874 0.360 0.359
0.885 0.610 0.113
0.886 0.112 0.604
0.894 0.387 0.891
0.895 0.889 0.375
```

LiMnVO4: optimized geometry, PBE+U.

The calculation puts the formation energy at -2.3601 eV per atom. Its energy above the most stable polymorph in this dataset is 11.8 meV/atom. The total moment comes out at 0.00 μB per formula unit.

The structure in POSCAR format:
```
LiMnVO4
1.0
10.795 0.000 0.000
0.000 6.277 0.000
0.000 0.000 4.999
Li Mn V O
4 4 4 16
Direct
0.000 0.000 0.000
0.000 0.500 0.000
0.500 0.000 0.500
0.500 0.500 0.500
0.227 0.250 0.485
0.273 0.750 0.985
0.727 0.250 0.015
0.773 0.750 0.515
0.091 0.750 0.425
0.409 0.250 0.925
0.591 0.750 0.075
0.909 0.250 0.575
0.057 0.250 0.712
0.094 0.750 0.773
0.165 0.530 0.277
0.165 0.970 0.277
0.335 0.030 0.777
0.335 0.470 0.777
0.406 0.250 0.273
0.443 0.750 0.212
0.557 0.250 0.788
0.594 0.750 0.727
0.665 0.530 0.223
0.665 0.970 0.223
0.835 0.030 0.723
0.835 0.470 0.723
0.906 0.250 0.227
0.943 0.750 0.288
```

Li2MnV3O8: optimized geometry, PBE+U.

The calculation puts the formation energy at -2.3518 eV per atom. Its energy above the most stable polymorph in this dataset is 85.6 meV/atom. The total moment comes out at 8.00 μB per formula unit.

The structure in POSCAR format:
```
Li2MnV3O8
1.0
6.091 -2.021 0.000
6.091 2.021 0.000
-1.949 0.000 6.279
Li Mn V O
2 1 3 8
Direct
0.000 0.000 0.000
0.119 0.119 0.712
0.350 0.350 0.055
0.448 0.448 0.640
0.669 0.669 0.065
0.768 0.768 0.645
0.178 0.178 0.035
0.288 0.288 0.674
0.426 0.426 0.376
0.503 0.503 0.987
0.622 0.622 0.725
0.710 0.710 0.349
0.825 0.825 0.997
0.936 0.936 0.680
```

Li2MnV3O8: optimized geometry, PBE+U.

The calculation puts the formation energy at -2.4374 eV per atom. Its energy above the most stable polymorph in this dataset is 0.0 meV/atom. The total moment comes out at 8.00 μB per formula unit.

The structure in POSCAR format:
```
Li2MnV3O8
1.0
8.502 0.000 0.000
0.000 8.502 0.000
0.000 0.000 8.502
Li Mn V O
8 4 12 32
Direct
0.127 0.127 0.127
0.249 0.751 0.251
0.251 0.249 0.751
0.373 0.873 0.627
0.627 0.373 0.873
0.749 0.749 0.749
0.751 0.251 0.249
0.873 0.627 0.373
0.004 0.996 0.496
0.496 0.004 0.996
0.504 0.504 0.504
0.996 0.496 0.004
0.119 0.621 0.626
0.121 0.874 0.881
0.126 0.381 0.379
0.374 0.619 0.879
0.379 0.126 0.381
0.381 0.379 0.126
0.619 0.879 0.374
0.621 0.626 0.119
0.626 0.119 0.621
0.874 0.881 0.121
0.879 0.374 0.619
0.881 0.121 0.874
0.101 0.103 0.869
0.103 0.869 0.101
0.115 0.385 0.615
0.122 0.853 0.650
0.131 0.601 0.397
0.136 0.636 0.864
0.147 0.150 0.378
0.150 0.378 0.147
0.350 0.622 0.647
0.353 0.850 0.878
0.364 0.364 0.364
0.369 0.399 0.897
0.378 0.147 0.150
0.385 0.615 0.115
0.397 0.131 0.601
0.399 0.897 0.369
0.601 0.397 0.131
0.603 0.631 0.899
0.615 0.115 0.385
0.622 0.647 0.350
0.631 0.899 0.603
0.636 0.864 0.136
0.647 0.350 0.622
0.650 0.122 0.853
0.850 0.878 0.353
0.853 0.650 0.122
0.864 0.136 0.636
0.869 0.101 0.103
0.878 0.353 0.850
0.885 0.885 0.885
0.897 0.369 0.399
0.899 0.603 0.631
```

- Which of these has the highest formation energy?
  Li2MnVO4

- Which formula does entry 11 have?
  Li2MnV3O8